Record 1
This record from Materials Project describes a relaxed CoP2 crystal. The functional is PBE-GGA.

Cell: 5.541 5.545 5.614 Å, 90.00 114.44 90.00°
Positions (direct):
Co1 0.228 0.001 0.212
Co2 0.228 0.499 0.712
Co3 0.772 0.501 0.288
Co4 0.772 0.999 0.788
P1 0.161 0.129 0.817
P2 0.161 0.371 0.317
P3 0.342 0.627 0.132
P4 0.342 0.873 0.632
P5 0.658 0.127 0.368
P6 0.658 0.373 0.868
P7 0.839 0.629 0.683
P8 0.839 0.871 0.183

Calculated values
mass density	5114	kg/m³
calculated formation energy	-1.599	eV per formula unit
volume	13.08	Å³/atom
space group	P2_1/c, No. 14

Record 2
This record from Materials Project describes a relaxed SiH12N4F4 crystal. The functional is PBE-GGA.

Cell: 5.460 5.460 13.680 Å, 90.00 90.00 97.01°
Positions (direct):
Si1 0.000 0.000 0.000
Si2 0.500 0.500 0.500
H1 0.063 0.162 0.316
H2 0.127 0.644 0.429
H3 0.144 0.627 0.929
H4 0.153 0.847 0.841
H5 0.162 0.063 0.684
H6 0.220 0.780 0.669
H7 0.280 0.720 0.169
H8 0.338 0.437 0.184
H9 0.347 0.653 0.341
H10 0.356 0.873 0.429
H11 0.373 0.856 0.929
H12 0.437 0.338 0.816
H13 0.563 0.662 0.184
H14 0.627 0.144 0.071
H15 0.644 0.127 0.571
H16 0.653 0.347 0.659
H17 0.662 0.563 0.816
H18 0.720 0.280 0.831
H19 0.780 0.220 0.331
H20 0.838 0.937 0.316
H21 0.847 0.153 0.159
H22 0.856 0.373 0.071
H23 0.873 0.356 0.571
H24 0.937 0.838 0.684
N1 0.113 0.887 0.708
N2 0.186 0.814 0.917
N3 0.314 0.686 0.417
N4 0.387 0.613 0.208
N5 0.613 0.387 0.792
N6 0.686 0.314 0.583
N7 0.814 0.186 0.083
N8 0.887 0.113 0.292
F1 0.080 0.256 0.928
F2 0.244 0.420 0.572
F3 0.256 0.080 0.072
F4 0.420 0.244 0.428
F5 0.580 0.756 0.572
F6 0.744 0.920 0.928
F7 0.756 0.580 0.428
F8 0.920 0.744 0.072

Calculated values
mass density	1413	kg/m³
calculated formation energy	-24.434	eV per formula unit
volume	9.64	Å³/atom
space group	Cmce, No. 64
corrected total energy (MP2020 scheme)	-111.6	eV/f.u.

Record 3
This record from Materials Project describes a relaxed CsK4TlO4 crystal. The functional is PBE-GGA.

Cell: 6.965 21.732 12.249 Å, 90.00 90.00 90.00°
Positions (direct):
Cs1 0.083 0.001 0.160
Cs2 0.083 0.499 0.660
Cs3 0.417 0.501 0.160
Cs4 0.417 0.999 0.660
Cs5 0.583 0.001 0.340
Cs6 0.583 0.499 0.840
Cs7 0.917 0.501 0.340
Cs8 0.917 0.999 0.840
K1 0.081 0.249 0.576
K2 0.081 0.251 0.076
K3 0.088 0.567 0.943
K4 0.088 0.933 0.443
K5 0.089 0.175 0.826
K6 0.089 0.325 0.326
K7 0.091 0.645 0.197
K8 0.091 0.855 0.697
K9 0.409 0.145 0.197
K10 0.409 0.355 0.697
K11 0.411 0.675 0.826
K12 0.411 0.825 0.326
K13 0.412 0.067 0.943
K14 0.412 0.433 0.443
K15 0.419 0.749 0.576
K16 0.419 0.751 0.076
K17 0.581 0.249 0.924
K18 0.581 0.251 0.424
K19 0.588 0.567 0.557
K20 0.588 0.933 0.057
K21 0.589 0.175 0.674
K22 0.589 0.325 0.174
K23 0.591 0.645 0.303
K24 0.591 0.855 0.803
K25 0.909 0.145 0.303
K26 0.909 0.355 0.803
K27 0.911 0.675 0.674
K28 0.911 0.825 0.174
K29 0.912 0.067 0.557
K30 0.912 0.433 0.057
K31 0.919 0.749 0.924
K32 0.919 0.751 0.424
Tl1 0.191 0.627 0.463
Tl2 0.191 0.873 0.963
Tl3 0.309 0.127 0.463
Tl4 0.309 0.373 0.963
Tl5 0.691 0.627 0.037
Tl6 0.691 0.873 0.537
Tl7 0.809 0.127 0.037
Tl8 0.809 0.373 0.537
O1 0.125 0.124 0.042
O2 0.125 0.376 0.542
O3 0.163 0.049 0.380
O4 0.163 0.451 0.880
O5 0.215 0.134 0.636
O6 0.215 0.366 0.136
O7 0.216 0.212 0.373
O8 0.216 0.288 0.873
O9 0.284 0.712 0.373
O10 0.284 0.788 0.873
O11 0.285 0.634 0.636
O12 0.285 0.866 0.136
O13 0.337 0.549 0.380
O14 0.337 0.951 0.880
O15 0.375 0.624 0.042
O16 0.375 0.876 0.542
O17 0.625 0.124 0.458
O18 0.625 0.376 0.958
O19 0.663 0.049 0.120
O20 0.663 0.451 0.620
O21 0.715 0.134 0.864
O22 0.715 0.366 0.364
O23 0.716 0.212 0.127
O24 0.716 0.288 0.627
O25 0.784 0.712 0.127
O26 0.784 0.788 0.627
O27 0.785 0.634 0.864
O28 0.785 0.866 0.364
O29 0.837 0.549 0.120
O30 0.837 0.951 0.620
O31 0.875 0.624 0.458
O32 0.875 0.876 0.958

Calculated values
mass density	3996	kg/m³
calculated formation energy	-13.981	eV per formula unit
volume	23.18	Å³/atom
space group	Pbca, No. 61
corrected total energy (MP2020 scheme)	-41.5	eV/f.u.

Record 4
This record from Materials Project describes a relaxed ZnSb2O4 crystal. The functional is PBE-GGA.

Cell: 5.659 5.659 11.118 Å, 90.00 90.00 147.10°
Positions (direct):
Zn1 0.116 0.884 0.750
Zn2 0.884 0.116 0.250
Sb1 0.369 0.631 0.581
Sb2 0.369 0.631 0.919
Sb3 0.631 0.369 0.081
Sb4 0.631 0.369 0.419
O1 0.000 0.000 0.000
O2 0.000 0.000 0.500
O3 0.279 0.721 0.125
O4 0.279 0.721 0.375
O5 0.488 0.512 0.750
O6 0.512 0.488 0.250
O7 0.721 0.279 0.625
O8 0.721 0.279 0.875

Calculated values
mass density	6404	kg/m³
calculated formation energy	-9.192	eV per formula unit
volume	13.81	Å³/atom
space group	Cmcm, No. 63
corrected total energy (MP2020 scheme)	-38.5	eV/f.u.
energy above the most stable polymorph in this dataset	437	meV per atom

Copy entry 1 word for word.
This record from Materials Project describes a relaxed CoP2 crystal. The functional is PBE-GGA.

Cell: 5.541 5.545 5.614 Å, 90.00 114.44 90.00°
Positions (direct):
Co1 0.228 0.001 0.212
Co2 0.228 0.499 0.712
Co3 0.772 0.501 0.288
Co4 0.772 0.999 0.788
P1 0.161 0.129 0.817
P2 0.161 0.371 0.317
P3 0.342 0.627 0.132
P4 0.342 0.873 0.632
P5 0.658 0.127 0.368
P6 0.658 0.373 0.868
P7 0.839 0.629 0.683
P8 0.839 0.871 0.183

Calculated values
mass density	5114	kg/m³
calculated formation energy	-1.599	eV per formula unit
volume	13.08	Å³/atom
space group	P2_1/c, No. 14